# Er4Ga16Co3

Er4Ga16Co3 after structural relaxation (PBE-GGA, the Materials Project).

- Formation energy from the elements: -498 meV per atom
- Electronic total energy: -99.51 eV per cell

a b c (Å): 6.0054 6.0054 11.0501
angles (deg): 90.00 90.00 90.00
Closest atoms and distances in Å follow each position.
Atoms (fractional coordinates):
1 Ga 0.0000 0.0000 0.2183  1 Co 2.41
2 Ga 0.7194 0.2806 0.0000  1 Co 2.38, 2 Ga 2.63
3 Ga 0.7496 0.2504 0.3834  2 Co 2.48, 1 Ga 2.58
4 Ga 0.2504 0.7496 0.6166  2 Co 2.48, 1 Ga 2.58
5 Ga 0.7496 0.7496 0.3834  2 Co 2.48, 1 Ga 2.58
6 Ga 0.5000 0.5000 0.1975  8 Ga 2.87-2.95, 4 Er 3.00
7 Ga 0.2504 0.7496 0.3834  2 Co 2.48, 1 Ga 2.58
8 Ga 0.2504 0.2504 0.6166  2 Co 2.48, 1 Ga 2.58
9 Ga 0.5000 0.5000 0.8025  8 Ga 2.87-2.95, 4 Er 3.00
10 Er 0.5000 0.0000 0.1933  12 Ga 2.99-3.02
11 Co 0.5000 0.0000 0.5000  8 Ga 2.48
12 Ga 0.2806 0.2806 0.0000  1 Co 2.38, 2 Ga 2.63
13 Ga 0.0000 0.0000 0.7817  1 Co 2.41
14 Ga 0.7496 0.2504 0.6166  2 Co 2.48, 1 Ga 2.58
15 Er 0.0000 0.5000 0.1933  12 Ga 2.99-3.02
16 Er 0.0000 0.5000 0.8067  12 Ga 2.99-3.02
17 Ga 0.7496 0.7496 0.6166  2 Co 2.48, 1 Ga 2.58
18 Ga 0.2504 0.2504 0.3834  2 Co 2.48, 1 Ga 2.58
19 Co 0.0000 0.5000 0.5000  8 Ga 2.48
20 Ga 0.2806 0.7194 0.0000  1 Co 2.38, 2 Ga 2.63
21 Ga 0.7194 0.7194 0.0000  1 Co 2.38, 2 Ga 2.63
22 Er 0.5000 0.0000 0.8067  12 Ga 2.99-3.02
23 Co 0.0000 0.0000 0.0000  6 Ga 2.38-2.41



# MgAg2Hg2O4

MgAg2Hg2O4 after structural relaxation (PBE-GGA, the Materials Project).

- Formation energy from the elements: -924 meV per atom
- Energy above the most stable polymorph in this dataset: 45.9 meV per atom
- Electronic total energy: -33.23 eV per cell

a b c (Å): 3.6679 9.6344 5.5178
angles (deg): 122.76 81.35 85.68
Closest atoms and distances in Å follow each position.
Atoms (fractional coordinates):
1 Ag 0.9245 0.4675 0.0131  2 O 2.09-2.11
2 Hg 0.5074 0.6858 0.6991  2 O 2.10-2.15
3 Mg 0.2424 0.3446 0.3608  4 O 1.99-2.01
4 O 0.7745 0.3398 0.2096  2 Mg 1.99-2.01, 1 Ag 2.09
5 O 0.7800 0.8478 0.6091  2 Hg 2.13-2.15, 1 Ag 2.13
6 Hg 0.9462 0.0200 0.0055  2 O 2.11-2.13
7 Ag 0.4779 0.9840 0.4767  2 O 2.11-2.13
8 O 0.0868 0.5626 0.7561  1 Mg 2.00, 1 Hg 2.10, 1 Ag 2.11
9 O 0.2603 0.1299 0.3342  1 Mg 1.99, 1 Ag 2.11, 1 Hg 2.11



# Li10SnP2Se12

Li10SnP2Se12 after structural relaxation (PBE-GGA, the Materials Project).

- Formation energy from the elements: -1042 meV per atom
- Piezoelectric modulus e_max: 0.52 C/m²
- Energy above the most stable polymorph in this dataset: 12.2 meV per atom
- Electronic total energy: -192.52 eV per cell

a b c (Å): 9.3222 9.3222 13.5221
angles (deg): 90.00 90.00 90.00
Closest atoms and distances in Å follow each position.
Atoms (fractional coordinates):
1 Li 0.2273 0.2729 0.2943  3 Se 2.57-2.65
2 Se 0.8045 0.0000 0.2790  1 P 2.22
3 Li 0.7271 0.2273 0.7943  3 Se 2.57-2.65
4 Se 0.5000 0.2729 0.4084  1 Sn 2.56, 3 Li 2.73-2.83
5 Li 0.2738 0.2574 0.5366  3 Se 2.53-2.73
6 Se 0.2773 0.5000 0.1921  1 Sn 2.55, 3 Li 2.57-2.85
7 Se 0.1935 0.5000 0.5996  1 P 2.22
8 P 0.0000 0.0000 0.6852  4 Se 2.22-2.24
9 P 0.0000 0.5000 0.5034  4 Se 2.22-2.24
10 Se 0.1996 0.0000 0.5927  1 P 2.24
11 Se 0.5000 0.1935 0.0996  1 P 2.22
12 Se 0.3011 0.0000 0.9103  1 P 2.24
13 Se 0.0000 0.1996 0.0927  1 P 2.24
14 Sn 0.5000 0.5000 0.3016  4 Se 2.55-2.56
15 Li 0.0000 0.0000 0.4416  6 Se 2.76-2.86
16 P 0.5000 0.0000 0.0034  4 Se 2.22-2.24
17 Se 0.2729 0.5000 0.9084  1 Sn 2.56, 3 Li 2.73-2.83
18 Li 0.7727 0.7271 0.2943  3 Se 2.57-2.65
19 Li 0.2574 0.7262 0.0366  3 Se 2.53-2.73
20 P 0.0000 0.0000 0.1852  4 Se 2.22-2.24
21 Se 0.0000 0.1955 0.7790  1 P 2.22
22 Li 0.2729 0.7727 0.7943  3 Se 2.57-2.65
23 Li 0.7727 0.2729 0.2943  3 Se 2.57-2.65
24 Li 0.7262 0.7426 0.5366  3 Se 2.53-2.73
25 Se 0.8065 0.5000 0.5996  1 P 2.22
26 Se 0.1955 0.0000 0.2790  1 P 2.22
27 Se 0.7271 0.5000 0.9084  1 Sn 2.56, 3 Li 2.73-2.83
28 Li 0.2738 0.7426 0.5366  3 Se 2.53-2.73
29 Li 0.5000 0.5000 0.0475  6 Se 2.83-2.94, 4 Li 3.10
30 Li 0.0000 0.0000 0.9416  6 Se 2.76-2.86
31 Li 0.2574 0.2738 0.0366  3 Se 2.53-2.73
32 Se 0.0000 0.6989 0.4103  1 P 2.24
33 Se 0.5000 0.8065 0.0996  1 P 2.22
34 Se 0.6989 0.0000 0.9103  1 P 2.24
35 Se 0.8004 0.0000 0.5927  1 P 2.24
36 Se 0.5000 0.7271 0.4084  1 Sn 2.56, 3 Li 2.73-2.83
37 Se 0.5000 0.7227 0.6921  1 Sn 2.55, 3 Li 2.57-2.85
38 Se 0.0000 0.8004 0.0927  1 P 2.24
39 Sn 0.5000 0.5000 0.8016  4 Se 2.55-2.56
40 Se 0.0000 0.8045 0.7790  1 P 2.22
41 Li 0.5000 0.5000 0.5475  6 Se 2.83-2.94, 4 Li 3.10
42 Se 0.5000 0.2773 0.6921  1 Sn 2.55, 3 Li 2.57-2.85
43 Se 0.0000 0.3011 0.4103  1 P 2.24
44 Li 0.7262 0.2574 0.5366  3 Se 2.53-2.73
45 Li 0.2729 0.2273 0.7943  3 Se 2.57-2.65
46 Se 0.7227 0.5000 0.1921  1 Sn 2.55, 3 Li 2.57-2.85
47 Li 0.7426 0.2738 0.0366  3 Se 2.53-2.73
48 Li 0.7426 0.7262 0.0366  3 Se 2.53-2.73
49 Li 0.2273 0.7271 0.2943  3 Se 2.57-2.65
50 Li 0.7271 0.7727 0.7943  3 Se 2.57-2.65



# KGePO5

KGePO5 after structural relaxation (PBE-GGA, the Materials Project).

- Formation energy from the elements: -2469 meV per atom
- Electronic total energy: -417.62 eV per cell

a b c (Å): 6.4015 10.1730 12.8263
angles (deg): 90.00 90.00 90.00
Closest atoms and distances in Å follow each position.
Atoms (fractional coordinates):
1 O 0.1904 0.2267 0.5977  1 P 1.55
2 K 0.2203 0.8154 0.6188  5 O 2.65-2.88
3 K 0.7797 0.3154 0.3812  5 O 2.65-2.88
4 K 0.6914 0.0690 0.1084  5 O 2.66-2.93
5 P 0.6660 0.7510 0.4978  4 O 1.55-1.56
6 K 0.7203 0.3154 0.8812  5 O 2.65-2.88
7 O 0.6904 0.7267 0.9023  1 P 1.55
8 O 0.5463 0.8774 0.2689  2 Ge 1.83-1.86
9 Ge 0.2459 0.2521 0.7484  6 O 1.84-2.06
10 K 0.1914 0.5690 0.3916  5 O 2.66-2.93
11 O 0.9757 0.8746 0.9817  1 P 1.56
12 Ge 0.0027 0.0010 0.8696  5 O 1.83-2.00
13 O 0.0159 0.1326 0.9847  1 P 1.56
14 P 0.4962 0.0030 0.8209  4 O 1.55-1.56
15 P 0.0038 0.0030 0.3209  4 O 1.55-1.56
16 O 0.5409 0.6217 0.2535  1 P 1.56
17 P 0.8340 0.7510 0.9978  4 O 1.55-1.56
18 O 0.0389 0.3879 0.7558  1 P 1.55
19 K 0.3086 0.5690 0.8916  5 O 2.66-2.93
20 P 0.1660 0.2510 0.0022  4 O 1.55-1.56
21 O 0.3132 0.5332 0.1087  1 P 1.55
22 O 0.8132 0.0332 0.3913  1 P 1.55
23 Ge 0.7541 0.7521 0.2516  6 O 1.84-2.06
24 O 0.5327 0.6349 0.7249  2 Ge 1.83-1.84
25 O 0.6948 0.7758 0.0947  1 P 1.55
26 Ge 0.7459 0.7521 0.7516  6 O 1.84-2.06
27 P 0.9962 0.5030 0.6791  4 O 1.55-1.56
28 Ge 0.4973 0.0010 0.3696  5 O 1.83-2.00
29 O 0.6868 0.0332 0.8913  1 P 1.55
30 O 0.5159 0.6326 0.5153  1 P 1.56
31 P 0.3340 0.2510 0.5022  4 O 1.55-1.56
32 O 0.0463 0.3774 0.2311  2 Ge 1.83-1.86
33 O 0.1948 0.2758 0.4053  1 P 1.55
34 O 0.9537 0.8774 0.7689  2 Ge 1.83-1.86
35 O 0.4757 0.3746 0.5183  1 P 1.56
36 O 0.4611 0.3879 0.2558  1 P 1.55
37 O 0.9673 0.6349 0.2249  2 Ge 1.83-1.84
38 O 0.1952 0.9717 0.3903  1 P 1.55
39 O 0.3052 0.2758 0.9053  1 P 1.55
40 Ge 0.2541 0.2521 0.2484  6 O 1.84-2.06
41 Ge 0.9973 0.5010 0.1304  5 O 1.83-2.00
42 O 0.4673 0.1349 0.2751  2 Ge 1.83-1.84
43 O 0.9611 0.8879 0.2442  1 P 1.55
44 O 0.9591 0.6217 0.7535  1 P 1.56
45 Ge 0.5027 0.5010 0.6304  5 O 1.83-2.00
46 K 0.8086 0.0690 0.6084  5 O 2.66-2.93
47 O 0.0409 0.1217 0.2465  1 P 1.56
48 O 0.3096 0.2267 0.0977  1 P 1.55
49 O 0.8048 0.4717 0.6097  1 P 1.55
50 P 0.5038 0.5030 0.1791  4 O 1.55-1.56
51 O 0.5389 0.8879 0.7442  1 P 1.55
52 O 0.6952 0.4717 0.1097  1 P 1.55
53 O 0.5243 0.8746 0.4817  1 P 1.56
54 O 0.9841 0.6326 0.0153  1 P 1.56
55 O 0.8052 0.7758 0.5947  1 P 1.55
56 O 0.4841 0.1326 0.4847  1 P 1.56
57 K 0.2797 0.8154 0.1188  5 O 2.65-2.88
58 O 0.3048 0.9717 0.8903  1 P 1.55
59 O 0.1868 0.5332 0.6087  1 P 1.55
60 O 0.8096 0.7267 0.4023  1 P 1.55
61 O 0.4537 0.3774 0.7311  2 Ge 1.83-1.86
62 O 0.0243 0.3746 0.0183  1 P 1.56
63 O 0.4591 0.1217 0.7465  1 P 1.56
64 O 0.0327 0.1349 0.7751  2 Ge 1.83-1.84